VASP calculation (r2SCAN) on a geometry-optimized Na2CdHg structure.

The space group is Fm-3m (No. 225) and the conventional cell measures 7.374, 7.374 and 7.374 Å, with angles of 90.00, 90.00 and 90.00 degrees. The distinct sites, in fractional coordinates, are Na at (0.250, 0.250, 0.250), Cd at (0.000, 0.000, 0.000) and Hg at (0.000, 0.000, 0.500).

The total magnetization is 0.00 μB per cell. The calculated total energy comes out at -19.29 eV per atom.


VASP calculation (r2SCAN) on a geometry-optimized NdCdHg2 structure.

The space group is Fm-3m (No. 225) and the conventional cell measures 7.288, 7.288 and 7.288 Å, with angles of 90.00, 90.00 and 90.00 degrees. The distinct sites, in fractional coordinates, are Nd at (0.000, 0.000, 0.000), Cd at (0.000, 0.000, 0.500) and Hg at (0.250, 0.250, 0.250).

The total magnetization is 0.00 μB per cell. The calculated total energy comes out at -37.55 eV per atom.